Record 1
CeGePd: relaxed, r²SCAN.

Cell: 4.492 7.691 21.939 Å, 90.00 90.00 90.00°
Fractional positions:
Ce (0.250, 0.787, 0.832)
Ce (0.750, 0.213, 0.168)
Ce (0.750, 0.287, 0.668)
Ce (0.250, 0.713, 0.332)
Ce (0.250, 0.709, 0.666)
Ce (0.750, 0.291, 0.334)
Ce (0.750, 0.209, 0.834)
Ce (0.250, 0.791, 0.166)
Ce (0.250, 0.779, 0.502)
Ce (0.750, 0.221, 0.498)
Ce (0.750, 0.279, 0.998)
Ce (0.250, 0.721, 0.002)
Ge (0.250, 0.413, 0.897)
Ge (0.750, 0.587, 0.103)
Ge (0.750, 0.913, 0.603)
Ge (0.250, 0.087, 0.397)
Ge (0.250, 0.413, 0.770)
Ge (0.750, 0.587, 0.230)
Ge (0.750, 0.913, 0.730)
Ge (0.250, 0.087, 0.270)
Ge (0.250, 0.409, 0.573)
Ge (0.750, 0.591, 0.427)
Ge (0.750, 0.909, 0.927)
Ge (0.250, 0.091, 0.073)
Pd (0.250, 0.423, 0.092)
Pd (0.750, 0.577, 0.908)
Pd (0.750, 0.923, 0.408)
Pd (0.250, 0.077, 0.592)
Pd (0.250, 0.420, 0.239)
Pd (0.750, 0.580, 0.761)
Pd (0.750, 0.920, 0.261)
Pd (0.250, 0.080, 0.739)
Pd (0.250, 0.417, 0.432)
Pd (0.750, 0.583, 0.568)
Pd (0.750, 0.917, 0.068)
Pd (0.250, 0.083, 0.932)

As for the space group: No. 62. As for the crystal system: orthorhombic. The calculation puts the energy of formation from the pure elements at -997 meV/atom. The magnetic moment is 10.9 Bohr magnetons per cell.

***

Record 2
CeGe3Pd5: relaxed, r²SCAN.

Cell: 4.141 7.324 20.313 Å, 90.00 90.00 90.00°
Fractional positions:
Ce (0.750, 0.379, 0.355)
Ce (0.750, 0.121, 0.855)
Ce (0.250, 0.621, 0.645)
Ce (0.250, 0.879, 0.145)
Ge (0.250, 0.376, 0.238)
Ge (0.750, 0.151, 0.075)
Ge (0.750, 0.907, 0.585)
Ge (0.750, 0.876, 0.262)
Ge (0.750, 0.593, 0.085)
Ge (0.250, 0.849, 0.925)
Ge (0.250, 0.124, 0.738)
Ge (0.250, 0.407, 0.915)
Ge (0.250, 0.093, 0.415)
Ge (0.750, 0.349, 0.575)
Ge (0.750, 0.624, 0.762)
Ge (0.250, 0.651, 0.425)
Pd (0.750, 0.120, 0.486)
Pd (0.250, 0.823, 0.800)
Pd (0.250, 0.677, 0.300)
Pd (0.750, 0.645, 0.885)
Pd (0.250, 0.145, 0.615)
Pd (0.250, 0.129, 0.994)
Pd (0.750, 0.177, 0.200)
Pd (0.250, 0.355, 0.115)
Pd (0.750, 0.855, 0.385)
Pd (0.250, 0.428, 0.795)
Pd (0.250, 0.880, 0.514)
Pd (0.750, 0.629, 0.506)
Pd (0.750, 0.380, 0.986)
Pd (0.250, 0.371, 0.494)
Pd (0.250, 0.072, 0.295)
Pd (0.750, 0.572, 0.205)
Pd (0.750, 0.928, 0.705)
Pd (0.750, 0.323, 0.700)
Pd (0.750, 0.871, 0.006)
Pd (0.250, 0.620, 0.014)

As for the space group: No. 62. As for the crystal system: orthorhombic. The calculation puts the energy of formation from the pure elements at -723 meV/atom. The magnetic moment is 4.1 Bohr magnetons per cell.

***

Record 3
CeGe12Pt4: relaxed, r²SCAN.

Cell: 7.481 7.481 7.481 Å, 109.47 109.47 109.47°
Fractional positions:
Ce (0.000, 0.000, 0.000)
Ge (0.354, 0.204, 0.850)
Ge (0.646, 0.796, 0.150)
Ge (0.646, 0.496, 0.850)
Ge (0.354, 0.504, 0.150)
Ge (0.204, 0.850, 0.354)
Ge (0.796, 0.150, 0.646)
Ge (0.496, 0.850, 0.646)
Ge (0.504, 0.150, 0.354)
Ge (0.850, 0.354, 0.204)
Ge (0.150, 0.646, 0.796)
Ge (0.850, 0.646, 0.496)
Ge (0.150, 0.354, 0.504)
Pt (0.000, 0.000, 0.500)
Pt (0.500, 0.000, 0.000)
Pt (0.000, 0.500, 0.000)
Pt (0.500, 0.500, 0.500)

As for the space group: No. 204. As for the crystal system: cubic. The calculation puts the energy of formation from the pure elements at -406 meV/atom. The magnetic moment is 0.9 Bohr magnetons per cell.

***

Record 4
CeGe2Pt2: relaxed, r²SCAN.

Cell: 4.396 4.396 9.900 Å, 90.00 90.00 90.00°
Fractional positions:
Ce (0.750, 0.750, 0.255)
Ce (0.250, 0.250, 0.745)
Ge (0.250, 0.750, 0.500)
Ge (0.250, 0.250, 0.129)
Ge (0.750, 0.250, 0.500)
Ge (0.750, 0.750, 0.871)
Pt (0.750, 0.250, 0.000)
Pt (0.750, 0.750, 0.622)
Pt (0.250, 0.250, 0.378)
Pt (0.250, 0.750, 0.000)

As for the space group: No. 129. As for the crystal system: tetragonal. The calculation puts the energy of formation from the pure elements at -1010 meV/atom. The magnetic moment is 2.0 Bohr magnetons per cell.

***

Record 5
CeGe2Rh2: relaxed, r²SCAN.

Cell: 4.174 4.174 6.003 Å, 110.34 110.34 90.00°
Fractional positions:
Ce (0.000, 0.000, 0.000)
Ge (0.625, 0.625, 0.250)
Ge (0.375, 0.375, 0.750)
Rh (0.250, 0.750, 0.500)
Rh (0.750, 0.250, 0.500)

As for the space group: No. 139. As for the crystal system: tetragonal. The calculation puts the energy of formation from the pure elements at -941 meV/atom. The magnetic moment is 0.8 Bohr magnetons per cell.

***

Record 6
CeGeRh: relaxed, r²SCAN.

Cell: 4.509 7.398 7.135 Å, 90.00 90.00 90.00°
Fractional positions:
Ce (0.250, 0.198, 0.976)
Ce (0.750, 0.802, 0.024)
Ce (0.750, 0.698, 0.524)
Ce (0.250, 0.302, 0.476)
Ge (0.250, 0.585, 0.823)
Ge (0.750, 0.415, 0.177)
Ge (0.750, 0.085, 0.677)
Ge (0.250, 0.915, 0.323)
Rh (0.250, 0.585, 0.208)
Rh (0.750, 0.415, 0.792)
Rh (0.750, 0.084, 0.292)
Rh (0.250, 0.916, 0.708)

As for the space group: No. 62. As for the crystal system: orthorhombic. The calculation puts the energy of formation from the pure elements at -966 meV/atom. The magnetic moment is 0.0 Bohr magnetons per cell.

***

Record 7
CeGe3Ru: relaxed, r²SCAN.

Cell: 9.034 9.034 9.034 Å, 90.00 90.00 90.00°
Fractional positions:
Ce (0.500, 0.000, 0.750)
Ce (0.000, 0.250, 0.500)
Ce (0.750, 0.500, 0.000)
Ce (0.500, 0.000, 0.250)
Ce (0.000, 0.750, 0.500)
Ce (0.250, 0.500, 0.000)
Ce (0.500, 0.500, 0.500)
Ce (0.000, 0.000, 0.000)
Ge (0.500, 0.345, 0.827)
Ge (0.655, 0.173, 0.500)
Ge (0.827, 0.500, 0.655)
Ge (0.500, 0.655, 0.173)
Ge (0.345, 0.827, 0.500)
Ge (0.173, 0.500, 0.345)
Ge (0.655, 0.827, 0.500)
Ge (0.827, 0.500, 0.345)
Ge (0.345, 0.173, 0.500)
Ge (0.173, 0.500, 0.655)
Ge (0.500, 0.655, 0.827)
Ge (0.500, 0.345, 0.173)
Ge (0.000, 0.327, 0.845)
Ge (0.155, 0.000, 0.673)
Ge (0.327, 0.155, 0.000)
Ge (0.000, 0.673, 0.155)
Ge (0.845, 0.000, 0.327)
Ge (0.673, 0.845, 0.000)
Ge (0.155, 0.000, 0.327)
Ge (0.327, 0.845, 0.000)
Ge (0.845, 0.000, 0.673)
Ge (0.673, 0.155, 0.000)
Ge (0.000, 0.327, 0.155)
Ge (0.000, 0.673, 0.845)
Ru (0.750, 0.250, 0.750)
Ru (0.250, 0.750, 0.250)
Ru (0.750, 0.750, 0.250)
Ru (0.250, 0.250, 0.750)
Ru (0.250, 0.750, 0.750)
Ru (0.750, 0.250, 0.250)
Ru (0.250, 0.250, 0.250)
Ru (0.750, 0.750, 0.750)

As for the space group: No. 223. As for the crystal system: cubic. The calculation puts the energy of formation from the pure elements at -621 meV/atom. The magnetic moment is 2.9 Bohr magnetons per cell.

***

Record 8
CeGe2Ru2: relaxed, r²SCAN.

Cell: 4.272 4.272 5.828 Å, 111.50 111.50 90.00°
Fractional positions:
Ce (0.000, 0.000, 0.000)
Ge (0.633, 0.633, 0.266)
Ge (0.367, 0.367, 0.734)
Ru (0.750, 0.250, 0.500)
Ru (0.250, 0.750, 0.500)

As for the space group: No. 139. As for the crystal system: tetragonal. The calculation puts the energy of formation from the pure elements at -710 meV/atom. The magnetic moment is 0.8 Bohr magnetons per cell.

***

Q: What is the formula in the sixth record?
A: CeGeRh